Record 1
# Li2Mg

A relaxed Li2Mg crystal (meta-GGA r2SCAN, Materials Project).

Its magnetization is 0.00 μB/f.u. The value obtained for the formation energy is -0.02 eV/atom.

Lattice parameters (Å, degrees): 3.078 3.078 15.434 90.00 90.00 120.00
Positions (direct):
Li  0.333  0.667  0.083
Li  0.333  0.667  0.417
Li  0.667  0.333  0.583
Li  0.667  0.333  0.917
Mg  0.333  0.667  0.750
Mg  0.667  0.333  0.250

Record 2
# LiSm2Ir

A relaxed LiSm2Ir crystal (meta-GGA r2SCAN, Materials Project).

Its magnetization is 0.00 μB/f.u. The value obtained for the formation energy is -0.53 eV/atom.

Lattice parameters (Å, degrees): 7.075 7.075 7.075 90.00 90.00 90.00
Positions (direct):
Li  0.000  0.000  0.000
Li  0.000  0.500  0.500
Li  0.500  0.000  0.500
Li  0.500  0.500  0.000
Sm  0.250  0.250  0.250
Sm  0.250  0.250  0.750
Sm  0.250  0.750  0.250
Sm  0.250  0.750  0.750
Sm  0.750  0.250  0.250
Sm  0.750  0.250  0.750
Sm  0.750  0.750  0.250
Sm  0.750  0.750  0.750
Ir  0.000  0.000  0.500
Ir  0.000  0.500  0.000
Ir  0.500  0.000  0.000
Ir  0.500  0.500  0.500

Record 3
# AcYbHg2

A relaxed AcYbHg2 crystal (meta-GGA r2SCAN, Materials Project).

Its magnetization is 0.00 μB/f.u. The value obtained for the formation energy is -0.49 eV/atom.

Lattice parameters (Å, degrees): 7.718 7.718 7.718 90.00 90.00 90.00
Positions (direct):
Ac  0.000  0.000  0.000
Ac  0.000  0.500  0.500
Ac  0.500  0.000  0.500
Ac  0.500  0.500  0.000
Yb  0.000  0.000  0.500
Yb  0.000  0.500  0.000
Yb  0.500  0.000  0.000
Yb  0.500  0.500  0.500
Hg  0.250  0.250  0.250
Hg  0.250  0.250  0.750
Hg  0.250  0.750  0.250
Hg  0.250  0.750  0.750
Hg  0.750  0.250  0.250
Hg  0.750  0.250  0.750
Hg  0.750  0.750  0.250
Hg  0.750  0.750  0.750

Record 4
# K3Hg

A relaxed K3Hg crystal (meta-GGA r2SCAN, Materials Project).

Its magnetization is 0.00 μB/f.u. The value obtained for the formation energy is -0.02 eV/atom.

Lattice parameters (Å, degrees): 5.816 5.816 11.414 90.00 90.00 90.00
Positions (direct):
K  0.000  0.000  0.000
K  0.000  0.500  0.250
K  0.000  0.500  0.750
K  0.500  0.000  0.250
K  0.500  0.000  0.750
K  0.500  0.500  0.500
Hg  0.000  0.000  0.500
Hg  0.500  0.500  0.000

Record 5
# Hg

A relaxed Hg crystal (meta-GGA r2SCAN, Materials Project).

Its magnetization is 0.00 μB/f.u. The value obtained for the excess energy over the best structure of this formula in the dataset is 7 meV/atom. The value obtained for the formation energy is 0.01 eV/atom.

Lattice parameters (Å, degrees): 3.413 5.499 3.469 90.00 119.34 90.00
Positions (direct):
Hg  0.152  0.250  0.304
Hg  0.848  0.750  0.696

Record 6
# Y3Al3NiGe2

A relaxed Y3Al3NiGe2 crystal (meta-GGA r2SCAN, Materials Project).

Its magnetization is 0.01 μB/f.u. The value obtained for the formation energy is -0.81 eV/atom.

Lattice parameters (Å, degrees): 6.933 6.933 4.163 90.00 90.00 120.00
Positions (direct):
Y  0.000  0.597  0.000
Y  0.403  0.403  0.000
Y  0.597  0.000  0.000
Al  0.000  0.226  0.500
Al  0.226  0.000  0.500
Al  0.774  0.774  0.500
Ni  0.000  0.000  0.000
Ge  0.333  0.667  0.500
Ge  0.667  0.333  0.500

Record 7
# DyBO3

A relaxed DyBO3 crystal (meta-GGA r2SCAN, Materials Project).

Its magnetization is 0.00 μB/f.u. The value obtained for the formation energy is -3.39 eV/atom.

Lattice parameters (Å, degrees): 6.106 6.352 6.356 92.32 107.81 108.48
Positions (direct):
Dy  0.056  0.346  0.272
Dy  0.439  0.220  0.819
Dy  0.561  0.780  0.181
Dy  0.944  0.654  0.728
B  0.024  0.788  0.239
B  0.488  0.268  0.281
B  0.512  0.732  0.719
B  0.976  0.212  0.761
O  0.032  0.022  0.772
O  0.090  0.368  0.645
O  0.153  0.719  0.123
O  0.370  0.384  0.128
O  0.380  0.839  0.796
O  0.453  0.265  0.480
O  0.547  0.735  0.520
O  0.620  0.161  0.204
O  0.630  0.616  0.872
O  0.847  0.281  0.877
O  0.910  0.632  0.355
O  0.968  0.978  0.228

Record 8
# SiC

A relaxed SiC crystal (meta-GGA r2SCAN, Materials Project).

Its magnetization is 0.00 μB/f.u. The value obtained for the excess energy over the best structure of this formula in the dataset is 0 meV/atom. The value obtained for the formation energy is -0.31 eV/atom.

Lattice parameters (Å, degrees): 42.833 42.833 42.833 4.12 4.12 4.12
Positions (direct):
Si  0.000  0.000  0.000
Si  0.039  0.039  0.039
Si  0.078  0.078  0.078
Si  0.118  0.118  0.118
Si  0.157  0.157  0.157
Si  0.196  0.196  0.196
Si  0.235  0.235  0.235
Si  0.275  0.275  0.275
Si  0.314  0.314  0.314
Si  0.392  0.392  0.392
Si  0.470  0.470  0.470
Si  0.549  0.549  0.549
Si  0.627  0.627  0.627
Si  0.686  0.686  0.686
Si  0.765  0.765  0.765
Si  0.843  0.843  0.843
Si  0.922  0.922  0.922
C  0.015  0.015  0.015
C  0.054  0.054  0.054
C  0.093  0.093  0.093
C  0.132  0.132  0.132
C  0.171  0.171  0.171
C  0.211  0.211  0.211
C  0.250  0.250  0.250
C  0.289  0.289  0.289
C  0.328  0.328  0.328
C  0.407  0.407  0.407
C  0.485  0.485  0.485
C  0.564  0.564  0.564
C  0.642  0.642  0.642
C  0.701  0.701  0.701
C  0.779  0.779  0.779
C  0.858  0.858  0.858
C  0.936  0.936  0.936

Record 9
# La2Rh2I

A relaxed La2Rh2I crystal (meta-GGA r2SCAN, Materials Project).

Its magnetization is 0.00 μB/f.u. The value obtained for the formation energy is -1.06 eV/atom.

Lattice parameters (Å, degrees): 4.322 4.322 17.720 90.00 90.00 120.00
Positions (direct):
La  0.000  0.000  0.105
La  0.000  0.000  0.395
La  0.000  0.000  0.605
La  0.000  0.000  0.895
Rh  0.333  0.667  0.001
Rh  0.333  0.667  0.499
Rh  0.667  0.333  0.501
Rh  0.667  0.333  0.999
I  0.333  0.667  0.750
I  0.667  0.333  0.250

Record 10
# He

A relaxed He crystal (meta-GGA r2SCAN, Materials Project).

Its magnetization is 0.00 μB/f.u. The value obtained for the excess energy over the best structure of this formula in the dataset is 2 meV/atom. The value obtained for the formation energy is 0.00 eV/atom.

Lattice parameters (Å, degrees): 2.842 2.842 4.625 90.00 90.00 120.00
Positions (direct):
He  0.333  0.667  0.250
He  0.667  0.333  0.750

Record 11
# BaBeF4

A relaxed BaBeF4 crystal (meta-GGA r2SCAN, Materials Project).

Its magnetization is 0.00 μB/f.u. The value obtained for the formation energy is -3.90 eV/atom.

Lattice parameters (Å, degrees): 8.891 5.265 7.070 90.00 90.00 90.00
Positions (direct):
Ba  0.187  0.250  0.154
Ba  0.313  0.750  0.654
Ba  0.687  0.250  0.346
Ba  0.813  0.750  0.846
Be  0.054  0.250  0.692
Be  0.446  0.750  0.192
Be  0.554  0.250  0.808
Be  0.946  0.750  0.308
F  0.080  0.012  0.820
F  0.080  0.488  0.820
F  0.110  0.750  0.374
F  0.176  0.250  0.537
F  0.324  0.750  0.037
F  0.390  0.250  0.874
F  0.420  0.512  0.320
F  0.420  0.988  0.320
F  0.580  0.012  0.680
F  0.580  0.488  0.680
F  0.610  0.750  0.126
F  0.676  0.250  0.963
F  0.824  0.750  0.463
F  0.890  0.250  0.626
F  0.920  0.512  0.180
F  0.920  0.988  0.180

Record 12
# AuSe

A relaxed AuSe crystal (meta-GGA r2SCAN, Materials Project).

Its magnetization is 0.00 μB/f.u. The value obtained for the formation energy is -0.14 eV/atom.

Lattice parameters (Å, degrees): 8.789 3.694 6.359 90.00 104.58 90.00
Positions (direct):
Au  0.000  0.000  0.000
Au  0.000  0.500  0.500
Au  0.500  0.000  0.500
Au  0.500  0.500  0.000
Se  0.149  0.000  0.727
Se  0.351  0.500  0.273
Se  0.649  0.500  0.727
Se  0.851  0.000  0.273

Which value of magnetization does entry 11 give? 0.00 μB/f.u.

Which of these has the highest magnetization? Y3Al3NiGe2